Material: MgW2O4
Method: DFT, PBE+U
State: optimized geometry Values from VASP.

Structure (Quantum ESPRESSO input):
```
&SYSTEM
  ibrav = 0, nat = 14, ntyp = 3
/
ATOMIC_SPECIES
O 16.00 O.upf
W 183.84 W.upf
Mg 24.30 Mg.upf
CELL_PARAMETERS angstrom
1.569 -5.248 0.000
1.569 5.248 0.000
0.000 0.000 10.342
ATOMIC_POSITIONS crystal
O 0.229 0.771 0.115
O 0.019 0.981 0.750
W 0.132 0.868 0.926
O 0.771 0.229 0.615
O 0.771 0.229 0.885
W 0.132 0.868 0.574
W 0.868 0.132 0.426
O 0.229 0.771 0.385
Mg 0.392 0.608 0.750
Mg 0.608 0.392 0.250
O 0.500 0.500 0.000
W 0.868 0.132 0.074
O 0.981 0.019 0.250
O 0.500 0.500 0.500
```

As for the formation energy: -1.791 eV per atom.